1.
Below is CaSi2 after structural relaxation, with properties calculated at the PBE-GGA level.

DFT formation energy in eV per atom: -0.25
Spin magnetization in μB/atom: 0.000
Calculated total energy in eV per atom: -4.5863

Unit cell a=4.1027 b=4.1027 c=4.2112 alpha=90.00 beta=90.00 gamma=120.00
Last column: nearest neighbours and their distance in Å.
Fractional positions:
Ca 0.0000 0.0000 0.0000  12 Si 3.17
Si 0.3333 0.6667 0.5000  3 Si 2.37
Si 0.6667 0.3333 0.5000  3 Si 2.37


2.
Below is Ca14Si19 after structural relaxation, with properties calculated at the PBE-GGA level.

DFT formation energy in eV per atom: -0.42
Spin magnetization in μB/atom: 0.001
Calculated total energy in eV per atom: -4.4359

Unit cell a=23.3981 b=23.3981 c=23.3981 alpha=21.36 beta=21.36 gamma=21.36
Last column: nearest neighbours and their distance in Å.
Fractional positions:
Ca 0.0000 0.0000 0.0000  6 Si 3.23, 6 Ca 3.61
Ca 0.0004 0.2500 0.4996  9 Si 2.90-3.15
Ca 0.9996 0.7500 0.5004  9 Si 2.90-3.15
Ca 0.0548 0.0548 0.0548  9 Si 3.11-3.47
Ca 0.0575 0.8092 0.5722  8 Si 2.97-3.26
Ca 0.0722 0.3092 0.5575  8 Si 2.97-3.26
Ca 0.1100 0.1100 0.1100  7 Si 2.95-3.25
Ca 0.1908 0.4278 0.9425  8 Si 2.97-3.26
Ca 0.2500 0.4996 0.0004  9 Si 2.90-3.15
Ca 0.3092 0.5575 0.0722  8 Si 2.97-3.26
Ca 0.3900 0.3900 0.3900  7 Si 2.95-3.25
Ca 0.4278 0.9425 0.1908  8 Si 2.97-3.26
Ca 0.4425 0.9278 0.6908  8 Si 2.97-3.26
Ca 0.4452 0.4452 0.4452  9 Si 3.11-3.47
Ca 0.4996 0.0004 0.2500  9 Si 2.90-3.15
Ca 0.5004 0.9996 0.7500  9 Si 2.90-3.15
Ca 0.5000 0.5000 0.5000  6 Si 3.23, 6 Ca 3.61
Ca 0.5548 0.5548 0.5548  9 Si 3.11-3.47
Ca 0.5575 0.0722 0.3092  8 Si 2.97-3.26
Ca 0.5722 0.0575 0.8092  8 Si 2.97-3.26
Ca 0.6100 0.6100 0.6100  7 Si 2.95-3.25
Ca 0.6908 0.4425 0.9278  8 Si 2.97-3.26
Ca 0.7500 0.5004 0.9996  9 Si 2.90-3.15
Ca 0.8092 0.5722 0.0575  8 Si 2.97-3.26
Ca 0.8900 0.8900 0.8900  7 Si 2.95-3.25
Ca 0.9278 0.6908 0.4425  8 Si 2.97-3.26
Ca 0.9425 0.1908 0.4278  8 Si 2.97-3.26
Ca 0.9452 0.9452 0.9452  9 Si 3.11-3.47
Si 0.0103 0.5610 0.2689  3 Si 2.35-2.40
Si 0.0610 0.5103 0.7689  3 Si 2.35-2.40
Si 0.1193 0.2852 0.6681  2 Si 2.35-2.54
Si 0.1530 0.1530 0.1530  3 Si 2.54
Si 0.1661 0.3339 0.7500  2 Si 2.40
Si 0.1681 0.7852 0.6193  2 Si 2.35-2.54
Si 0.2148 0.3807 0.8319  2 Si 2.35-2.54
Si 0.2190 0.2190 0.2190  3 Si 2.39
Si 0.2311 0.9390 0.4897  3 Si 2.35-2.40
Si 0.2500 0.8339 0.6661  2 Si 2.40
Si 0.2689 0.0103 0.5610  3 Si 2.35-2.40
Si 0.2810 0.2810 0.2810  3 Si 2.39
Si 0.2852 0.6681 0.1193  2 Si 2.35-2.54
Si 0.3319 0.8807 0.7148  2 Si 2.35-2.54
Si 0.3339 0.7500 0.1661  2 Si 2.40
Si 0.3470 0.3470 0.3470  3 Si 2.54
Si 0.3807 0.8319 0.2148  2 Si 2.35-2.54
Si 0.4390 0.7311 0.9897  3 Si 2.35-2.40
Si 0.4897 0.2311 0.9390  3 Si 2.35-2.40
Si 0.5103 0.7689 0.0610  3 Si 2.35-2.40
Si 0.5610 0.2689 0.0103  3 Si 2.35-2.40
Si 0.6193 0.1681 0.7852  2 Si 2.35-2.54
Si 0.6530 0.6530 0.6530  3 Si 2.54
Si 0.6661 0.2500 0.8339  2 Si 2.40
Si 0.6681 0.1193 0.2852  2 Si 2.35-2.54
Si 0.7148 0.3319 0.8807  2 Si 2.35-2.54
Si 0.7190 0.7190 0.7190  3 Si 2.39
Si 0.7311 0.9897 0.4390  3 Si 2.35-2.40
Si 0.7500 0.1661 0.3339  2 Si 2.40
Si 0.7689 0.0610 0.5103  3 Si 2.35-2.40
Si 0.7810 0.7810 0.7810  3 Si 2.39
Si 0.7852 0.6193 0.1681  2 Si 2.35-2.54
Si 0.8319 0.2148 0.3807  2 Si 2.35-2.54
Si 0.8339 0.6661 0.2500  2 Si 2.40
Si 0.8470 0.8470 0.8470  3 Si 2.54
Si 0.8807 0.7148 0.3319  2 Si 2.35-2.54
Si 0.9390 0.4897 0.2311  3 Si 2.35-2.40
Si 0.9897 0.4390 0.7311  3 Si 2.35-2.40


3.
Below is Ca5Si3 after structural relaxation, with properties calculated at the PBE-GGA level.

DFT formation energy in eV per atom: -0.46
Calculated total energy in eV per atom: -3.7729

Unit cell a=9.1579 b=9.1579 c=9.1579 alpha=130.67 beta=130.67 gamma=72.34
Last column: nearest neighbours and their distance in Å.
Fractional positions:
Ca 0.0000 0.0000 0.0000  4 Si 3.08
Ca 0.0399 0.5399 0.8599  5 Si 3.05-3.24
Ca 0.1801 0.0399 0.5000  5 Si 3.05-3.24
Ca 0.3199 0.8199 0.8599  5 Si 3.05-3.24
Ca 0.4601 0.3199 0.5000  5 Si 3.05-3.24
Ca 0.5000 0.5000 0.0000  4 Si 3.08
Ca 0.5399 0.6801 0.5000  5 Si 3.05-3.24
Ca 0.6801 0.1801 0.1401  5 Si 3.05-3.24
Ca 0.8199 0.9601 0.5000  5 Si 3.05-3.24
Ca 0.9601 0.4601 0.1401  5 Si 3.05-3.24
Si 0.1127 0.3873 0.5000  1 Si 2.44
Si 0.2500 0.2500 0.0000  8 Ca 3.24
Si 0.3873 0.8873 0.2746  1 Si 2.44
Si 0.6127 0.1127 0.7254  1 Si 2.44
Si 0.7500 0.7500 0.0000  8 Ca 3.24
Si 0.8873 0.6127 0.5000  1 Si 2.44


4.
Below is CaSi2 after structural relaxation, with properties calculated at the PBE-GGA level.

DFT formation energy in eV per atom: -0.32
Calculated total energy in eV per atom: -4.6504

Unit cell a=3.8878 b=3.8878 c=4.9460 alpha=90.00 beta=90.00 gamma=120.00
Last column: nearest neighbours and their distance in Å.
Fractional positions:
Ca 0.0000 0.0000 0.0000  6 Si 3.04
Si 0.3333 0.6667 0.4133  3 Si 2.40
Si 0.6667 0.3333 0.5867  3 Si 2.40


5.
Below is Sr9CaSi6 after structural relaxation, with properties calculated at the PBE-GGA level.

DFT formation energy in eV per atom: -0.38
Spin magnetization in μB/atom: 0.002
Calculated total energy in eV per atom: -3.5147

Unit cell a=9.7493 b=9.7493 c=9.7493 alpha=131.41 beta=131.41 gamma=71.16
Last column: nearest neighbours and their distance in Å.
Fractional positions:
Sr 0.0000 0.0000 0.0000  4 Si 3.29
Sr 0.0432 0.1819 0.5044  5 Si 3.23-3.44
Sr 0.1819 0.6775 0.1387  5 Si 3.23-3.44
Sr 0.3225 0.4612 0.5044  5 Si 3.23-3.44
Sr 0.4612 0.9568 0.1387  5 Si 3.23-3.44
Sr 0.5388 0.0432 0.8613  5 Si 3.23-3.44
Sr 0.6775 0.5388 0.4956  5 Si 3.23-3.44
Sr 0.8181 0.3225 0.8613  5 Si 3.23-3.44
Sr 0.9568 0.8181 0.4956  5 Si 3.23-3.44
Ca 0.5000 0.5000 0.0000  4 Si 3.22
Si 0.1125 0.6059 0.7184  1 Si 2.48
Si 0.2499 0.2499 0.0000  8 Sr 3.40-3.44
Si 0.3941 0.1125 0.5066  1 Si 2.48
Si 0.6059 0.8875 0.4934  1 Si 2.48
Si 0.7501 0.7501 0.0000  8 Sr 3.40-3.44
Si 0.8875 0.3941 0.2816  1 Si 2.48


6.
Below is SrCa3Si4 after structural relaxation, with properties calculated at the PBE-GGA level.

DFT formation energy in eV per atom: -0.47
Calculated total energy in eV per atom: -4.1860

Unit cell a=3.9509 b=4.6125 c=10.8662 alpha=90.00 beta=90.00 gamma=90.00
Last column: nearest neighbours and their distance in Å.
Fractional positions:
Sr 0.0000 0.0000 0.0000  7 Si 3.16-3.27
Ca 0.0000 0.5000 0.4976  7 Si 3.13-3.19
Ca 0.5000 0.0000 0.7188  7 Si 3.12-3.17
Ca 0.5000 0.5000 0.2259  7 Si 3.13-3.33
Si 0.0000 0.0000 0.2955  2 Si 2.45
Si 0.0000 0.5000 0.7861  2 Si 2.45
Si 0.5000 0.0000 0.4296  2 Si 2.45
Si 0.5000 0.5000 0.9196  2 Si 2.45